Run A
# FeCo2Se4

An optimized crystal structure of FeCo2Se4 (PBE, the Materials Project).

a = 6.2175 Å, b = 6.2175 Å, c = 6.1291 Å
α = 62.69°, β = 62.69°, γ = 33.03°
Atoms (fractional coordinates):
1 Fe 0.7399 0.7399 0.2877
2 Co 0.9976 0.9976 0.0024
3 Co 0.2633 0.2633 0.7097
4 Se 0.1175 0.1175 0.5517
5 Se 0.8822 0.8822 0.4513
6 Se 0.3648 0.3648 0.9748
7 Se 0.6347 0.6347 0.0224


Run B
# FeCo2Se4

An optimized crystal structure of FeCo2Se4 (PBE, the Materials Project).

a = 6.3525 Å, b = 6.3525 Å, c = 6.1994 Å
α = 61.49°, β = 61.49°, γ = 32.46°
Atoms (fractional coordinates):
1 Fe 0.0000 0.0000 0.0000
2 Co 0.7390 0.7390 0.2794
3 Co 0.2610 0.2610 0.7206
4 Se 0.8741 0.8741 0.4546
5 Se 0.1259 0.1259 0.5454
6 Se 0.6376 0.6376 0.0243
7 Se 0.3624 0.3624 0.9757


Short version: run A is the least stable of them.


Run A
# NdGaCo4

An optimized crystal structure of NdGaCo4 (PBE, the Materials Project).

a = 5.1400 Å, b = 5.1400 Å, c = 3.8814 Å
α = 90.00°, β = 90.00°, γ = 120.00°
Atoms (fractional coordinates):
1 Nd 0.0000 0.0000 0.0000
2 Ga 0.3333 0.6667 0.0000
3 Co 0.6667 0.3333 0.0000
4 Co 0.5045 0.0091 0.5000
5 Co 0.9909 0.4955 0.5000
6 Co 0.5045 0.4955 0.5000


Run B
# NdGaCo4

An optimized crystal structure of NdGaCo4 (PBE, the Materials Project).

a = 8.7269 Å, b = 8.7269 Å, c = 4.0218 Å
α = 90.00°, β = 90.00°, γ = 120.00°
Atoms (fractional coordinates):
1 Nd 0.3333 0.6667 0.0000
2 Nd 0.6667 0.3333 0.0000
3 Nd 0.0000 0.0000 0.0000
4 Ga 0.5000 0.0000 0.5000
5 Ga 0.0000 0.5000 0.5000
6 Ga 0.5000 0.5000 0.5000
7 Co 0.1604 0.3208 0.5000
8 Co 0.8396 0.6792 0.5000
9 Co 0.6792 0.8396 0.5000
10 Co 0.3208 0.1604 0.5000
11 Co 0.1604 0.8396 0.5000
12 Co 0.8396 0.1604 0.5000
13 Co 0.3239 0.0000 0.0000
14 Co 0.6761 0.0000 0.0000
15 Co 0.0000 0.3239 0.0000
16 Co 0.0000 0.6761 0.0000
17 Co 0.6761 0.6761 0.0000
18 Co 0.3239 0.3239 0.0000


Short version: run A is the least stable of them.


Run A
# UCo2Ge2

An optimized crystal structure of UCo2Ge2 (PBE, the Materials Project).

a = 5.5744 Å, b = 5.5744 Å, c = 5.5744 Å
α = 137.49°, β = 137.49°, γ = 61.69°
Atoms (fractional coordinates):
1 U 0.0000 0.0000 0.0000
2 Co 0.7500 0.2500 0.5000
3 Co 0.2500 0.7500 0.5000
4 Ge 0.6283 0.6283 0.0000
5 Ge 0.3717 0.3717 0.0000


Run B
# UCo2Ge2

An optimized crystal structure of UCo2Ge2 (PBE, the Materials Project).

a = 4.0574 Å, b = 4.0574 Å, c = 9.3914 Å
α = 90.00°, β = 90.00°, γ = 90.00°
Atoms (fractional coordinates):
1 U 0.7500 0.7500 0.2427
2 U 0.2500 0.2500 0.7573
3 Co 0.7500 0.2500 0.0000
4 Co 0.2500 0.7500 0.0000
5 Co 0.7500 0.7500 0.6277
6 Co 0.2500 0.2500 0.3723
7 Ge 0.7500 0.2500 0.5000
8 Ge 0.2500 0.7500 0.5000
9 Ge 0.7500 0.7500 0.8691
10 Ge 0.2500 0.2500 0.1309


Short version: run A is the least stable of them.


Run A
# HfMg6Co

An optimized crystal structure of HfMg6Co (PBE, the Materials Project).

a = 4.9159 Å, b = 5.7639 Å, c = 11.2443 Å
α = 90.00°, β = 90.00°, γ = 90.00°
Atoms (fractional coordinates):
1 Hf 0.0000 0.5000 0.1797
2 Hf 0.0000 0.0000 0.6797
3 Mg 0.0000 0.2517 0.4278
4 Mg 0.0000 0.7483 0.4278
5 Mg 0.5000 0.7534 0.0812
6 Mg 0.5000 0.2466 0.0812
7 Mg 0.5000 0.0000 0.3062
8 Mg 0.5000 0.5000 0.3303
9 Mg 0.0000 0.7517 0.9278
10 Mg 0.0000 0.2483 0.9278
11 Mg 0.5000 0.2534 0.5812
12 Mg 0.5000 0.7466 0.5812
13 Mg 0.5000 0.5000 0.8062
14 Mg 0.5000 0.0000 0.8303
15 Co 0.0000 0.0000 0.1658
16 Co 0.0000 0.5000 0.6658


Run B
# HfMg6Co

An optimized crystal structure of HfMg6Co (PBE, the Materials Project).

a = 4.7964 Å, b = 6.0974 Å, c = 11.1355 Å
α = 90.00°, β = 90.00°, γ = 90.00°
Atoms (fractional coordinates):
1 Hf 0.5000 0.5000 0.1934
2 Hf 0.5000 0.0000 0.6934
3 Mg 0.0000 0.7433 0.0802
4 Mg 0.0000 0.2567 0.0802
5 Mg 0.0000 0.0000 0.3272
6 Mg 0.5000 0.2573 0.4258
7 Mg 0.5000 0.7427 0.4258
8 Mg 0.5000 0.0000 0.1666
9 Mg 0.0000 0.2433 0.5802
10 Mg 0.0000 0.7567 0.5802
11 Mg 0.0000 0.5000 0.8272
12 Mg 0.5000 0.7573 0.9258
13 Mg 0.5000 0.2427 0.9258
14 Mg 0.5000 0.5000 0.6666
15 Co 0.0000 0.5000 0.3008
16 Co 0.0000 0.0000 0.8008


Short version: run A is the least stable of them.


Run A
# Co3I

An optimized crystal structure of Co3I (PBE, the Materials Project).

a = 4.6082 Å, b = 4.6082 Å, c = 4.6082 Å
α = 131.22°, β = 131.22°, γ = 71.46°
Atoms (fractional coordinates):
1 Co 0.7500 0.2500 0.5000
2 Co 0.2500 0.7500 0.5000
3 Co 0.5000 0.5000 0.0000
4 I 0.0000 0.0000 0.0000


Run B
# Co3I

An optimized crystal structure of Co3I (PBE, the Materials Project).

a = 6.3901 Å, b = 6.3901 Å, c = 3.8732 Å
α = 90.00°, β = 90.00°, γ = 120.00°
Atoms (fractional coordinates):
1 Co 0.1269 0.2539 0.2500
2 Co 0.7461 0.8731 0.2500
3 Co 0.1269 0.8731 0.2500
4 Co 0.8731 0.7461 0.7500
5 Co 0.2539 0.1269 0.7500
6 Co 0.8731 0.1269 0.7500
7 I 0.3333 0.6667 0.7500
8 I 0.6667 0.3333 0.2500


Short version: run A is the least stable of them.


Run A
# CoSI

An optimized crystal structure of CoSI (PBE, the Materials Project).

a = 3.5503 Å, b = 3.5503 Å, c = 6.1168 Å
α = 78.18°, β = 78.18°, γ = 59.97°
Atoms (fractional coordinates):
1 Co 0.9959 0.9959 0.0320
2 S 0.2880 0.2880 0.2080
3 I 0.7240 0.7240 0.7600


Run B
# CoSI

An optimized crystal structure of CoSI (PBE, the Materials Project).

a = 4.4462 Å, b = 4.4462 Å, c = 4.4462 Å
α = 60.00°, β = 60.00°, γ = 60.00°
Atoms (fractional coordinates):
1 Co 0.0000 0.0000 0.0000
2 S 0.7500 0.7500 0.7500
3 I 0.2500 0.2500 0.2500


Short version: run B is the least stable of them.